[1]
{"formula": "CsMg14Zr", "functional": "PBE", "state": "relaxed", "relative_energy_ev_per_atom": 0.020, "magmom_total_mub_per_cell": 0.0, "space_group": "Amm2, No. 38", "cell": [[6.574, -0.058, 0.000], [-3.337, 5.780, 0.000], [0.000, 0.000, 10.558]], "species": ["Cs", "Mg", "Mg", "Mg", "Mg", "Mg", "Mg", "Mg", "Mg", "Mg", "Mg", "Mg", "Mg", "Mg", "Mg", "Zr"], "fractional_positions": [[0.163, 0.831, 0.125], [0.165, 0.332, 0.625], [0.168, 0.834, 0.625], [0.666, 0.332, 0.125], [0.668, 0.330, 0.625], [0.666, 0.834, 0.125], [0.668, 0.837, 0.625], [0.336, 0.182, 0.387], [0.336, 0.182, 0.863], [0.336, 0.653, 0.387], [0.336, 0.653, 0.863], [0.838, 0.169, 0.371], [0.838, 0.169, 0.879], [0.816, 0.658, 0.392], [0.816, 0.658, 0.858], [0.186, 0.343, 0.125]]}

***

[2]
{"formula": "DyThFe14B", "functional": "PBE", "state": "relaxed", "magmom_total_mub_per_cell": 121.7, "space_group": "P4_2/mnm, No. 136", "cell": [[-5.550, 6.553, -1.673], [-5.816, -3.520, 5.507], [4.724, 6.303, 9.016]], "species": ["Dy", "Dy", "Dy", "Dy", "Th", "Th", "Th", "Th", "Fe", "Fe", "Fe", "Fe", "Fe", "Fe", "Fe", "Fe", "Fe", "Fe", "Fe", "Fe", "Fe", "Fe", "Fe", "Fe", "Fe", "Fe", "Fe", "Fe", "Fe", "Fe", "Fe", "Fe", "Fe", "Fe", "Fe", "Fe", "Fe", "Fe", "Fe", "Fe", "Fe", "Fe", "Fe", "Fe", "Fe", "Fe", "Fe", "Fe", "Fe", "Fe", "Fe", "Fe", "Fe", "Fe", "Fe", "Fe", "Fe", "Fe", "Fe", "Fe", "Fe", "Fe", "Fe", "Fe", "B", "B", "B", "B"], "fractional_positions": [[0.229, 0.771, 0.500], [0.771, 0.229, 0.500], [0.271, 0.271, 0.000], [0.729, 0.729, 0.000], [0.644, 0.644, 0.500], [0.356, 0.356, 0.500], [0.856, 0.144, 0.000], [0.144, 0.856, 0.000], [0.183, 0.817, 0.255], [0.817, 0.183, 0.255], [0.317, 0.317, 0.755], [0.683, 0.683, 0.755], [0.817, 0.183, 0.745], [0.183, 0.817, 0.745], [0.683, 0.683, 0.245], [0.317, 0.317, 0.245], [0.935, 0.725, 0.373], [0.065, 0.275, 0.373], [0.565, 0.225, 0.873], [0.435, 0.775, 0.873], [0.065, 0.275, 0.627], [0.935, 0.725, 0.627], [0.435, 0.775, 0.127], [0.565, 0.225, 0.127], [0.725, 0.935, 0.373], [0.275, 0.065, 0.373], [0.225, 0.565, 0.873], [0.775, 0.435, 0.873], [0.275, 0.065, 0.627], [0.725, 0.935, 0.627], [0.775, 0.435, 0.127], [0.225, 0.565, 0.127], [0.500, 0.500, 0.115], [0.000, 0.000, 0.615], [0.500, 0.500, 0.885], [0.000, 0.000, 0.385], [0.141, 0.538, 0.325], [0.859, 0.462, 0.325], [0.359, 0.038, 0.825], [0.641, 0.962, 0.825], [0.859, 0.462, 0.675], [0.141, 0.538, 0.675], [0.641, 0.962, 0.175], [0.359, 0.038, 0.175], [0.538, 0.141, 0.325], [0.462, 0.859, 0.325], [0.038, 0.359, 0.825], [0.962, 0.641, 0.825], [0.462, 0.859, 0.675], [0.538, 0.141, 0.675], [0.962, 0.641, 0.175], [0.038, 0.359, 0.175], [0.000, 0.500, 0.500], [0.500, 0.000, 0.000], [0.500, 0.000, 0.500], [0.000, 0.500, 0.000], [0.402, 0.598, 0.298], [0.598, 0.402, 0.298], [0.098, 0.098, 0.798], [0.902, 0.902, 0.798], [0.598, 0.402, 0.702], [0.402, 0.598, 0.702], [0.902, 0.902, 0.202], [0.098, 0.098, 0.202], [0.877, 0.877, 0.500], [0.123, 0.123, 0.500], [0.623, 0.377, 0.000], [0.377, 0.623, 0.000]]}

***

[3]
{"formula": "Na7Hf3ZnSi3P3O24", "functional": "PBE", "state": "relaxed", "corrected_energy_ev_per_cell": -942.7, "magmom_total_mub_per_cell": 0.0, "space_group": "P1, No. 1", "cell": [[9.139, -0.002, -0.010], [-4.571, 7.903, -0.009], [-0.025, -0.042, 22.693]], "species": ["Na", "Na", "Na", "Na", "Na", "Na", "Na", "Na", "Na", "Na", "Na", "Na", "Na", "Na", "Na", "Na", "Na", "Na", "Na", "Na", "Na", "Hf", "Hf", "Hf", "Hf", "Hf", "Hf", "Hf", "Hf", "Hf", "Zn", "Zn", "Zn", "Si", "Si", "Si", "Si", "Si", "Si", "Si", "Si", "Si", "P", "P", "P", "P", "P", "P", "P", "P", "P", "O", "O", "O", "O", "O", "O", "O", "O", "O", "O", "O", "O", "O", "O", "O", "O", "O", "O", "O", "O", "O", "O", "O", "O", "O", "O", "O", "O", "O", "O", "O", "O", "O", "O", "O", "O", "O", "O", "O", "O", "O", "O", "O", "O", "O", "O", "O", "O", "O", "O", "O", "O", "O", "O", "O", "O", "O", "O", "O", "O", "O", "O", "O", "O", "O", "O", "O", "O", "O", "O", "O", "O"], "fractional_positions": [[0.638, 0.013, 0.247], [0.375, 0.363, 0.247], [0.989, 0.628, 0.249], [0.639, 0.624, 0.748], [0.986, 0.368, 0.745], [0.372, 0.008, 0.746], [0.028, 0.690, 0.585], [0.667, 0.974, 0.581], [0.313, 0.977, 0.084], [0.661, 0.692, 0.084], [0.028, 0.333, 0.081], [0.334, 0.305, 0.918], [0.969, 0.289, 0.415], [0.320, 0.031, 0.414], [0.711, 0.680, 0.414], [0.006, 0.010, 0.493], [0.989, 0.997, 0.997], [0.682, 0.343, 0.833], [0.666, 0.333, 0.332], [0.338, 0.668, 0.166], [0.326, 0.655, 0.664], [0.990, 0.991, 0.855], [0.007, 0.005, 0.647], [0.000, 0.003, 0.149], [0.672, 0.332, 0.980], [0.668, 0.332, 0.481], [0.338, 0.665, 0.016], [0.329, 0.658, 0.517], [0.333, 0.666, 0.317], [0.328, 0.663, 0.817], [0.999, 0.999, 0.354], [0.678, 0.344, 0.680], [0.659, 0.328, 0.177], [0.999, 0.705, 0.749], [0.962, 0.335, 0.586], [0.665, 0.041, 0.086], [0.375, 0.334, 0.084], [0.629, 0.666, 0.916], [0.036, 0.371, 0.916], [0.627, 0.960, 0.418], [0.333, 0.371, 0.415], [0.039, 0.668, 0.417], [0.293, 0.000, 0.252], [0.707, 0.706, 0.251], [0.999, 0.294, 0.251], [0.292, 0.291, 0.752], [0.708, 0.999, 0.750], [0.376, 0.043, 0.585], [0.664, 0.626, 0.586], [0.959, 0.625, 0.085], [0.334, 0.960, 0.917], [0.209, 0.024, 0.306], [0.815, 0.789, 0.306], [0.973, 0.185, 0.305], [0.206, 0.183, 0.807], [0.977, 0.807, 0.804], [0.826, 0.026, 0.803], [0.792, 0.970, 0.694], [0.172, 0.205, 0.698], [0.033, 0.827, 0.691], [0.793, 0.819, 0.195], [0.027, 0.207, 0.195], [0.180, 0.972, 0.195], [0.885, 0.371, 0.644], [0.483, 0.120, 0.641], [0.635, 0.523, 0.641], [0.890, 0.519, 0.141], [0.628, 0.113, 0.145], [0.490, 0.378, 0.143], [0.460, 0.299, 0.026], [0.841, 0.541, 0.032], [0.704, 0.168, 0.030], [0.458, 0.151, 0.529], [0.695, 0.542, 0.530], [0.840, 0.302, 0.527], [0.538, 0.692, 0.975], [0.156, 0.462, 0.974], [0.307, 0.851, 0.972], [0.536, 0.842, 0.475], [0.304, 0.468, 0.471], [0.160, 0.696, 0.474], [0.126, 0.630, 0.359], [0.504, 0.873, 0.359], [0.370, 0.494, 0.357], [0.130, 0.489, 0.858], [0.358, 0.874, 0.861], [0.508, 0.637, 0.859], [0.021, 0.833, 0.412], [0.812, 0.980, 0.413], [0.167, 0.187, 0.411], [0.035, 0.191, 0.910], [0.179, 0.984, 0.910], [0.815, 0.834, 0.912], [0.971, 0.158, 0.590], [0.193, 0.016, 0.589], [0.830, 0.805, 0.590], [0.977, 0.805, 0.091], [0.833, 0.015, 0.091], [0.185, 0.162, 0.091], [0.685, 0.153, 0.746], [0.466, 0.308, 0.745], [0.830, 0.519, 0.747], [0.686, 0.528, 0.245], [0.845, 0.320, 0.244], [0.472, 0.156, 0.246], [0.633, 0.490, 0.923], [0.851, 0.352, 0.922], [0.491, 0.138, 0.923], [0.636, 0.145, 0.423], [0.506, 0.360, 0.423], [0.853, 0.495, 0.424], [0.345, 0.498, 0.077], [0.139, 0.652, 0.075], [0.496, 0.851, 0.077], [0.356, 0.863, 0.578], [0.515, 0.660, 0.578], [0.148, 0.506, 0.578], [0.306, 0.833, 0.254], [0.528, 0.693, 0.253], [0.167, 0.473, 0.253], [0.308, 0.471, 0.756], [0.175, 0.694, 0.755], [0.532, 0.834, 0.756]]}

***

[4]
{"formula": "K2GeF6", "functional": "PBE", "state": "relaxed", "corrected_energy_ev_per_cell": -91.3, "e_ij_max_c_m2": 0.26, "space_group": "P6_3mc, No. 186", "cell": [[2.926, -5.069, 0.000], [2.926, 5.069, 0.000], [0.000, 0.000, 9.552]], "species": ["K", "K", "K", "K", "Ge", "Ge", "F", "F", "F", "F", "F", "F", "F", "F", "F", "F", "F", "F"], "fractional_positions": [[0.000, 0.000, 0.094], [0.000, 0.000, 0.594], [0.667, 0.333, 0.371], [0.333, 0.667, 0.871], [0.667, 0.333, 0.758], [0.333, 0.667, 0.258], [0.520, 0.480, 0.645], [0.040, 0.520, 0.145], [0.480, 0.960, 0.145], [0.520, 0.040, 0.645], [0.960, 0.480, 0.645], [0.480, 0.520, 0.145], [0.183, 0.817, 0.364], [0.365, 0.183, 0.864], [0.817, 0.635, 0.864], [0.183, 0.365, 0.364], [0.635, 0.817, 0.364], [0.817, 0.183, 0.864]]}

***

[5]
{"formula": "Na2ZrZnP2SO12", "functional": "PBE", "state": "relaxed", "corrected_energy_ev_per_cell": -817.4, "magmom_total_mub_per_cell": 0.0, "cell": [[8.989, 0.000, 0.000], [-4.495, 7.700, 0.036], [0.000, 0.109, 22.861]], "species": ["Na", "Na", "Na", "Na", "Na", "Na", "Na", "Na", "Na", "Na", "Na", "Na", "Zr", "Zr", "Zr", "Zr", "Zr", "Zr", "Zn", "Zn", "Zn", "Zn", "Zn", "Zn", "P", "P", "P", "P", "P", "P", "P", "P", "P", "P", "P", "P", "S", "S", "S", "S", "S", "S", "O", "O", "O", "O", "O", "O", "O", "O", "O", "O", "O", "O", "O", "O", "O", "O", "O", "O", "O", "O", "O", "O", "O", "O", "O", "O", "O", "O", "O", "O", "O", "O", "O", "O", "O", "O", "O", "O", "O", "O", "O", "O", "O", "O", "O", "O", "O", "O", "O", "O", "O", "O", "O", "O", "O", "O", "O", "O", "O", "O", "O", "O", "O", "O", "O", "O", "O", "O", "O", "O", "O", "O"], "fractional_positions": [[0.991, 0.627, 0.243], [0.637, 0.627, 0.743], [0.657, 0.960, 0.577], [0.303, 0.960, 0.077], [0.324, 0.294, 0.910], [0.970, 0.294, 0.410], [0.998, 0.975, 0.491], [0.976, 0.975, 0.991], [0.665, 0.308, 0.824], [0.643, 0.308, 0.324], [0.332, 0.641, 0.158], [0.310, 0.641, 0.658], [0.004, 0.012, 0.648], [0.008, 0.012, 0.148], [0.671, 0.345, 0.981], [0.675, 0.345, 0.481], [0.337, 0.678, 0.315], [0.341, 0.678, 0.815], [0.000, 0.995, 0.348], [0.995, 0.995, 0.848], [0.667, 0.329, 0.681], [0.662, 0.329, 0.181], [0.334, 0.662, 0.015], [0.328, 0.662, 0.515], [0.298, 0.010, 0.251], [0.995, 0.295, 0.255], [0.300, 0.295, 0.755], [0.712, 0.010, 0.751], [0.965, 0.343, 0.584], [0.662, 0.628, 0.588], [0.966, 0.628, 0.088], [0.379, 0.343, 0.084], [0.631, 0.677, 0.918], [0.329, 0.961, 0.921], [0.633, 0.961, 0.421], [0.045, 0.677, 0.418], [0.706, 0.705, 0.251], [0.999, 0.705, 0.751], [0.373, 0.039, 0.584], [0.666, 0.039, 0.084], [0.039, 0.372, 0.918], [0.333, 0.372, 0.418], [0.207, 0.023, 0.304], [0.809, 0.787, 0.303], [0.976, 0.193, 0.311], [0.218, 0.193, 0.811], [0.977, 0.787, 0.803], [0.817, 0.023, 0.804], [0.792, 0.974, 0.695], [0.183, 0.198, 0.701], [0.025, 0.814, 0.697], [0.790, 0.814, 0.197], [0.015, 0.198, 0.201], [0.182, 0.974, 0.195], [0.873, 0.357, 0.638], [0.476, 0.120, 0.636], [0.642, 0.527, 0.644], [0.884, 0.527, 0.144], [0.644, 0.120, 0.136], [0.483, 0.357, 0.138], [0.459, 0.308, 0.028], [0.850, 0.532, 0.034], [0.691, 0.147, 0.031], [0.456, 0.147, 0.531], [0.682, 0.532, 0.534], [0.849, 0.308, 0.528], [0.540, 0.690, 0.971], [0.143, 0.453, 0.970], [0.309, 0.860, 0.978], [0.551, 0.860, 0.478], [0.311, 0.453, 0.470], [0.150, 0.690, 0.471], [0.125, 0.641, 0.361], [0.517, 0.865, 0.367], [0.358, 0.481, 0.364], [0.123, 0.481, 0.864], [0.348, 0.865, 0.867], [0.516, 0.641, 0.861], [0.018, 0.830, 0.410], [0.817, 0.995, 0.414], [0.177, 0.199, 0.412], [0.022, 0.199, 0.912], [0.178, 0.995, 0.914], [0.812, 0.830, 0.910], [0.971, 0.168, 0.588], [0.199, 0.022, 0.588], [0.832, 0.812, 0.589], [0.980, 0.812, 0.089], [0.823, 0.022, 0.088], [0.197, 0.168, 0.088], [0.684, 0.163, 0.743], [0.483, 0.328, 0.747], [0.844, 0.533, 0.745], [0.689, 0.533, 0.245], [0.845, 0.328, 0.247], [0.479, 0.163, 0.243], [0.638, 0.501, 0.922], [0.865, 0.355, 0.922], [0.499, 0.146, 0.923], [0.646, 0.146, 0.423], [0.490, 0.355, 0.422], [0.863, 0.501, 0.422], [0.351, 0.497, 0.077], [0.150, 0.661, 0.080], [0.510, 0.866, 0.079], [0.356, 0.866, 0.579], [0.511, 0.661, 0.580], [0.146, 0.497, 0.577], [0.304, 0.835, 0.255], [0.532, 0.688, 0.255], [0.166, 0.479, 0.256], [0.313, 0.479, 0.756], [0.156, 0.688, 0.755], [0.530, 0.835, 0.755]]}

***

[6]
{"formula": "Zn3Si4Ag2O14", "functional": "PBE", "state": "relaxed", "corrected_energy_ev_per_cell": -300.5, "magmom_total_mub_per_cell": 0.0, "space_group": "C2/c, No. 15", "cell": [[-9.159, -2.930, 1.397], [-4.412, -8.629, -0.707], [-2.739, -5.369, 8.363]], "species": ["Zn", "Zn", "Zn", "Zn", "Zn", "Zn", "Si", "Si", "Si", "Si", "Si", "Si", "Si", "Si", "Ag", "Ag", "Ag", "Ag", "O", "O", "O", "O", "O", "O", "O", "O", "O", "O", "O", "O", "O", "O", "O", "O", "O", "O", "O", "O", "O", "O", "O", "O", "O", "O", "O", "O"], "fractional_positions": [[0.052, 0.276, 0.126], [0.724, 0.948, 0.374], [0.276, 0.052, 0.626], [0.383, 0.617, 0.750], [0.948, 0.724, 0.874], [0.617, 0.383, 0.250], [0.574, 0.042, 0.706], [0.042, 0.574, 0.206], [0.486, 0.279, 0.109], [0.279, 0.486, 0.609], [0.958, 0.426, 0.794], [0.514, 0.721, 0.891], [0.721, 0.514, 0.391], [0.426, 0.958, 0.294], [0.776, 0.224, 0.750], [0.224, 0.776, 0.250], [0.000, 0.000, 0.000], [0.000, 0.000, 0.500], [0.797, 0.354, 0.313], [0.964, 0.898, 0.404], [0.475, 0.622, 0.083], [0.898, 0.964, 0.904], [0.205, 0.057, 0.290], [0.089, 0.499, 0.631], [0.622, 0.475, 0.583], [0.943, 0.795, 0.210], [0.911, 0.501, 0.369], [0.570, 0.728, 0.290], [0.036, 0.102, 0.596], [0.795, 0.943, 0.710], [0.501, 0.911, 0.869], [0.354, 0.797, 0.813], [0.728, 0.570, 0.790], [0.057, 0.205, 0.790], [0.958, 0.448, 0.939], [0.430, 0.272, 0.710], [0.552, 0.042, 0.561], [0.272, 0.430, 0.210], [0.499, 0.089, 0.131], [0.102, 0.036, 0.096], [0.448, 0.958, 0.439], [0.525, 0.378, 0.917], [0.042, 0.552, 0.061], [0.378, 0.525, 0.417], [0.646, 0.203, 0.187], [0.203, 0.646, 0.687]]}

***

Table of theoretical density (Mg/m³), in record order: 2.35; 8.61; 4.02; 3.10; 3.08; 4.27
Table of E_form (eV per atom), in record order: 0.209; -0.107; -2.989; -3.035; -2.602; -2.166